Here is a geometry-optimized Tb6OsI10 structure from the Materials Project database. Energies are from PBE.

Unit cell a=7.758 b=9.764 c=9.805 alpha=107.58 beta=97.02 gamma=105.00
Fractional coordinates of all 17 atoms:
I  0.738  0.911  0.538
I  0.357  0.455  0.273
I  0.211  0.738  0.650
I  0.453  0.817  0.091
I  0.547  0.183  0.909
I  0.643  0.545  0.727
I  0.789  0.262  0.350
I  0.087  0.370  0.820
I  0.913  0.630  0.180
I  0.262  0.089  0.462
Tb  0.886  0.960  0.243
Tb  0.650  0.873  0.833
Tb  0.972  0.283  0.084
Tb  0.350  0.127  0.167
Tb  0.114  0.040  0.757
Tb  0.028  0.717  0.916
Os  0.000  0.000  0.000

Here is a geometry-optimized Lu4Ni structure from the Materials Project database. Energies are from PBE.

Unit cell a=7.385 b=7.385 c=7.385 alpha=60.00 beta=60.00 gamma=60.00
Fractional coordinates of all 10 atoms:
Lu  0.387  0.839  0.387
Lu  0.387  0.387  0.387
Lu  0.839  0.387  0.387
Lu  0.863  0.411  0.863
Lu  0.387  0.387  0.839
Lu  0.863  0.863  0.411
Lu  0.863  0.863  0.863
Lu  0.411  0.863  0.863
Ni  0.250  0.250  0.250
Ni  0.000  0.000  0.000

Here is a geometry-optimized NaSmF4 structure from the Materials Project database. Energies are from PBE.

Unit cell a=6.133 b=7.123 c=7.129 alpha=62.13 beta=64.59 gamma=64.62
Fractional coordinates of all 18 atoms:
F  0.755  0.735  0.233
F  0.253  0.627  0.130
F  0.595  0.707  0.654
F  0.044  0.278  0.318
F  0.276  0.129  0.627
F  0.048  0.822  0.771
F  0.597  0.161  0.198
F  0.363  0.005  0.037
F  0.977  0.887  0.384
F  0.982  0.379  0.882
F  0.756  0.244  0.746
F  0.360  0.546  0.499
Na  0.331  0.423  0.912
Na  0.665  0.493  0.156
Na  0.664  0.011  0.675
Sm  0.002  0.999  0.998
Sm  0.334  0.920  0.412
Sm  0.998  0.498  0.504

Here is a geometry-optimized B9H8S structure from the Materials Project database. Energies are from PBE.

Unit cell a=9.942 b=6.810 c=13.626 alpha=65.81 beta=90.00 gamma=90.00
Fractional coordinates of all 72 atoms:
H  0.376  0.420  0.027
H  0.563  0.773  0.496
H  0.914  0.854  0.196
H  0.817  0.570  0.831
H  0.290  0.780  0.488
H  0.317  0.430  0.669
H  0.683  0.570  0.331
H  0.798  0.403  0.169
H  0.183  0.430  0.169
H  0.790  0.220  0.012
H  0.086  0.146  0.804
H  0.526  0.420  0.836
H  0.909  0.030  0.691
H  0.974  0.420  0.336
H  0.202  0.597  0.831
H  0.937  0.773  0.996
H  0.414  0.146  0.304
H  0.437  0.227  0.504
H  0.591  0.030  0.191
H  0.091  0.970  0.309
H  0.409  0.970  0.809
H  0.298  0.597  0.331
H  0.210  0.780  0.988
H  0.624  0.580  0.973
H  0.474  0.580  0.164
H  0.876  0.580  0.473
H  0.710  0.220  0.512
H  0.063  0.227  0.004
H  0.026  0.580  0.664
H  0.702  0.403  0.669
H  0.124  0.420  0.527
H  0.586  0.854  0.696
B  0.750  0.040  0.541
B  0.185  0.178  0.844
B  0.250  0.960  0.459
B  0.252  0.420  0.359
B  0.310  0.337  0.764
B  0.658  0.684  0.020
B  0.815  0.822  0.156
B  0.427  0.066  0.973
B  0.360  0.082  0.848
B  0.748  0.580  0.641
B  0.690  0.663  0.236
B  0.248  0.420  0.859
B  0.168  0.208  0.967
B  0.332  0.208  0.467
B  0.685  0.822  0.656
B  0.190  0.337  0.264
B  0.423  0.324  0.862
B  0.750  0.040  0.041
B  0.752  0.580  0.141
B  0.342  0.316  0.980
B  0.810  0.663  0.736
B  0.668  0.792  0.533
B  0.573  0.934  0.027
B  0.250  0.960  0.959
B  0.923  0.676  0.638
B  0.077  0.324  0.362
B  0.315  0.178  0.344
B  0.073  0.066  0.473
B  0.860  0.918  0.652
B  0.832  0.792  0.033
B  0.927  0.934  0.527
B  0.640  0.918  0.152
B  0.577  0.676  0.138
B  0.158  0.316  0.480
B  0.842  0.684  0.520
B  0.140  0.082  0.348
S  0.211  0.031  0.579
S  0.711  0.969  0.921
S  0.789  0.969  0.421
S  0.289  0.031  0.079

Here is a geometry-optimized Fe2Pb3N4 structure from the Materials Project database. Energies are from PBE.

Unit cell a=8.785 b=7.920 c=5.340 alpha=90.00 beta=71.22 gamma=116.79
Fractional coordinates of all 18 atoms:
Pb  0.754  0.698  0.380
Pb  0.246  0.944  0.120
Pb  0.246  0.302  0.620
Pb  0.000  0.374  0.250
Pb  0.754  0.056  0.880
Pb  0.000  0.626  0.750
N  0.600  0.366  0.339
N  0.600  0.233  0.839
N  0.400  0.634  0.661
N  0.319  0.357  0.127
N  0.681  0.643  0.873
N  0.319  0.962  0.627
N  0.681  0.038  0.373
N  0.400  0.767  0.161
Fe  0.444  0.606  0.959
Fe  0.444  0.838  0.459
Fe  0.556  0.394  0.041
Fe  0.556  0.162  0.541

Here is a geometry-optimized Rb2LiTiF6 structure from the Materials Project database. Energies are from PBE.

Unit cell a=5.936 b=5.936 c=5.936 alpha=60.00 beta=60.00 gamma=60.00
Fractional coordinates of all 10 atoms:
F  0.761  0.761  0.239
F  0.239  0.239  0.761
F  0.761  0.239  0.761
F  0.239  0.761  0.239
F  0.761  0.239  0.239
F  0.239  0.761  0.761
Li  0.500  0.500  0.500
Rb  0.250  0.250  0.250
Rb  0.750  0.750  0.750
Ti  0.000  0.000  0.000

Here is a geometry-optimized KYMg14 structure from the Materials Project database. Energies are from PBE.

## Properties
energy above the lowest structure with this stoichiometry: 0.51 kcal/mol of atoms

Unit cell a=6.637 b=6.638 c=10.596 alpha=90.00 beta=90.00 gamma=120.00
Fractional coordinates of all 16 atoms:
Mg  0.662  0.328  0.125
Mg  0.823  0.662  0.867
Mg  0.165  0.333  0.625
Mg  0.833  0.166  0.376
Mg  0.668  0.334  0.625
Mg  0.339  0.176  0.863
Mg  0.167  0.833  0.625
Mg  0.668  0.833  0.625
Mg  0.662  0.834  0.125
Mg  0.339  0.176  0.387
Mg  0.823  0.662  0.383
Mg  0.833  0.166  0.874
Mg  0.339  0.663  0.387
Mg  0.339  0.663  0.863
Y  0.172  0.336  0.125
K  0.166  0.833  0.125

Here is a geometry-optimized Nd2Cd2O5 structure from the Materials Project database. Energies are from PBE.

Unit cell a=4.275 b=4.275 c=7.411 alpha=90.00 beta=90.00 gamma=90.00
Fractional coordinates of all 9 atoms:
Nd  0.000  0.000  0.500
Nd  0.000  0.000  0.000
Cd  0.500  0.500  0.791
Cd  0.500  0.500  0.209
O  0.000  0.500  0.202
O  0.500  0.000  0.202
O  0.000  0.500  0.798
O  0.500  0.500  0.500
O  0.500  0.000  0.798

Here is a geometry-optimized YClO structure from the Materials Project database. Energies are from PBE.

Unit cell a=4.073 b=4.073 c=6.485 alpha=90.00 beta=90.00 gamma=90.00
Fractional coordinates of all 6 atoms:
O  0.000  0.500  0.385
O  0.500  0.000  0.615
Cl  0.000  0.000  0.000
Cl  0.500  0.500  0.000
Y  0.500  0.000  0.297
Y  0.000  0.500  0.703

Here is a geometry-optimized MgCo2Sb2S2 structure from the Materials Project database. Energies are from PBE.

## Properties
energy above the lowest structure with this stoichiometry: 1.67 kcal/mol of atoms

Unit cell a=3.454 b=5.533 c=6.982 alpha=101.56 beta=90.00 gamma=90.00
Fractional coordinates of all 7 atoms:
Mg  0.500  0.475  0.819
Sb  0.000  0.020  0.356
Sb  0.500  0.980  0.849
Co  0.000  0.241  0.076
Co  0.500  0.742  0.466
S  0.500  0.485  0.175
S  0.000  0.488  0.566

Here is a geometry-optimized LaNiSb2 structure from the Materials Project database. Energies are from PBE.

Unit cell a=4.447 b=4.447 c=9.935 alpha=90.00 beta=90.00 gamma=90.00
Fractional coordinates of all 8 atoms:
La  0.000  0.500  0.740
La  0.500  0.000  0.260
Sb  0.500  0.000  0.627
Sb  0.000  0.500  0.373
Sb  0.500  0.500  0.000
Sb  0.000  0.000  0.000
Ni  0.500  0.500  0.500
Ni  0.000  0.000  0.500

Here is a geometry-optimized Sr3Se3Cl2O8 structure from the Materials Project database. Energies are from PBE.

Unit cell a=5.601 b=11.741 c=17.751 alpha=90.00 beta=90.00 gamma=90.00
Fractional coordinates of all 64 atoms:
O  0.750  0.703  0.481
O  0.510  0.031  0.324
O  0.015  0.965  0.912
O  0.017  0.216  0.866
O  0.010  0.969  0.676
O  0.483  0.716  0.634
O  0.750  0.403  0.267
O  0.017  0.716  0.634
O  0.515  0.035  0.088
O  0.485  0.465  0.588
O  0.010  0.469  0.824
O  0.485  0.965  0.912
O  0.250  0.097  0.767
O  0.510  0.531  0.176
O  0.250  0.297  0.519
O  0.250  0.597  0.733
O  0.983  0.284  0.366
O  0.015  0.465  0.588
O  0.990  0.531  0.176
O  0.250  0.797  0.981
O  0.517  0.284  0.366
O  0.750  0.203  0.019
O  0.490  0.469  0.824
O  0.483  0.216  0.866
O  0.990  0.031  0.324
O  0.517  0.784  0.134
O  0.985  0.535  0.412
O  0.490  0.969  0.676
O  0.750  0.903  0.233
O  0.983  0.784  0.134
O  0.985  0.035  0.088
O  0.515  0.535  0.412
Se  0.750  0.945  0.335
Se  0.750  0.445  0.165
Se  0.750  0.255  0.307
Se  0.250  0.745  0.693
Se  0.250  0.555  0.835
Se  0.250  0.371  0.603
Se  0.750  0.629  0.397
Se  0.750  0.755  0.193
Se  0.250  0.871  0.897
Se  0.750  0.129  0.103
Se  0.250  0.245  0.807
Se  0.250  0.055  0.665
Cl  0.750  0.603  0.000
Cl  0.250  0.897  0.500
Cl  0.250  0.744  0.304
Cl  0.750  0.256  0.696
Cl  0.750  0.103  0.500
Cl  0.750  0.756  0.804
Cl  0.250  0.244  0.196
Cl  0.250  0.397  0.000
Sr  0.750  0.539  0.699
Sr  0.750  0.868  0.014
Sr  0.750  0.371  0.924
Sr  0.250  0.629  0.076
Sr  0.250  0.461  0.301
Sr  0.750  0.368  0.486
Sr  0.750  0.039  0.801
Sr  0.250  0.632  0.514
Sr  0.750  0.871  0.576
Sr  0.250  0.961  0.199
Sr  0.250  0.132  0.986
Sr  0.250  0.129  0.424

Here is a geometry-optimized VCl4 structure from the Materials Project database. Energies are from PBE.

Unit cell a=6.382 b=9.487 c=11.699 alpha=62.88 beta=90.00 gamma=90.00
Fractional coordinates of all 20 atoms:
Cl  0.172  0.197  0.126
Cl  0.172  0.803  0.374
Cl  0.712  0.603  0.363
Cl  0.828  0.803  0.874
Cl  0.777  0.297  0.910
Cl  0.259  0.949  0.646
Cl  0.223  0.297  0.410
Cl  0.288  0.397  0.637
Cl  0.741  0.949  0.146
Cl  0.259  0.051  0.854
Cl  0.741  0.051  0.354
Cl  0.712  0.397  0.137
Cl  0.828  0.197  0.626
Cl  0.223  0.703  0.090
Cl  0.288  0.603  0.863
Cl  0.777  0.703  0.590
V  0.839  0.196  0.116
V  0.161  0.196  0.616
V  0.839  0.804  0.384
V  0.161  0.804  0.884

Here is a geometry-optimized AcCd3 structure from the Materials Project database. Energies are from PBE.

Unit cell a=7.200 b=7.200 c=5.116 alpha=90.00 beta=90.00 gamma=120.00
Fractional coordinates of all 8 atoms:
Cd  0.300  0.150  0.750
Cd  0.850  0.150  0.750
Cd  0.150  0.850  0.250
Cd  0.850  0.700  0.750
Cd  0.150  0.300  0.250
Cd  0.700  0.850  0.250
Ac  0.333  0.667  0.750
Ac  0.667  0.333  0.250

Here is a geometry-optimized HfP2 structure from the Materials Project database. Energies are from PBE.

Unit cell a=3.509 b=6.460 c=8.687 alpha=90.00 beta=90.00 gamma=90.00
Fractional coordinates of all 12 atoms:
P  0.250  0.389  0.539
P  0.750  0.093  0.642
P  0.750  0.111  0.039
P  0.250  0.407  0.142
P  0.750  0.611  0.461
P  0.250  0.907  0.358
P  0.750  0.593  0.858
P  0.250  0.889  0.961
Hf  0.250  0.777  0.664
Hf  0.250  0.277  0.836
Hf  0.750  0.223  0.336
Hf  0.750  0.723  0.164

| no. | calculated volume (Å³/f.u.) | DFT total energy (eV per atom) | ΔH_f (0 K) (eV/atom) |
| --- | --- | --- | --- |
| 1 | 667.44 | -4.3999 | -1.430 |
| 2 | 142.42 | -4.5346 | 0.238 |
| 3 | 79.44 | -5.9474 | -3.972 |
| 4 | 210.38 | -5.1713 | -0.122 |
| 5 | 154.64 | -6.4918 | 0.173 |
| 6 | 147.94 | -5.3652 | -3.317 |
| 7 | 404.26 | -1.7686 | 0.105 |
| 8 | 135.47 | -5.7824 | -2.151 |
| 9 | 53.78 | -6.7783 | -2.586 |
| 10 | 130.74 | -4.8690 | -0.392 |
| 11 | 98.25 | -5.5165 | -0.869 |
| 12 | 291.84 | -5.5000 | -2.166 |
| 13 | 157.63 | -4.3879 | -1.583 |
| 14 | 114.84 | -1.9932 | -0.271 |
| 15 | 49.24 | -7.8525 | -0.925 |